No. 1
The following is a DFT calculation (PBE) of crystalline YHg2 at its relaxed geometry.

Unit cell a=4.9633 b=4.9633 c=3.4588 alpha=90.00 beta=90.00 gamma=120.00
Last column: nearest neighbours and their distance in Å.
Sites, in units of the cell vectors:
1 Y 0.0000 0.0000 0.0000  12 Hg 3.35, 2 Y 3.46
2 Hg 0.3333 0.6667 0.5000  3 Hg 2.87
3 Hg 0.6667 0.3333 0.5000  3 Hg 2.87

Output
Energy   -2.76 eV per atom

No. 2
The following is a DFT calculation (PBE) of crystalline YHg at its relaxed geometry.

Unit cell a=3.7326 b=3.7326 c=3.7326 alpha=90.00 beta=90.00 gamma=90.00
Last column: nearest neighbours and their distance in Å.
Sites, in units of the cell vectors:
1 Y 0.0000 0.0000 0.0000  8 Hg 3.23
2 Hg 0.5000 0.5000 0.5000  8 Y 3.23

Output
Energy   -3.90 eV per atom

No. 3
The following is a DFT calculation (PBE) of crystalline Zn3Hg at its relaxed geometry.

Unit cell a=5.8788 b=5.8788 c=4.6080 alpha=90.00 beta=90.00 gamma=120.00
Last column: nearest neighbours and their distance in Å.
Sites, in units of the cell vectors:
1 Zn 0.1584 0.3167 0.2500  8 Zn 2.79-3.09, 4 Hg 2.91-2.94
2 Zn 0.1584 0.8416 0.2500  8 Zn 2.79-3.09, 4 Hg 2.91-2.94
3 Zn 0.3167 0.1584 0.7500  8 Zn 2.79-3.09, 4 Hg 2.91-2.94
4 Zn 0.6833 0.8416 0.2500  8 Zn 2.79-3.09, 4 Hg 2.91-2.94
5 Zn 0.8416 0.1584 0.7500  8 Zn 2.79-3.09, 4 Hg 2.91-2.94
6 Zn 0.8416 0.6833 0.7500  8 Zn 2.79-3.09, 4 Hg 2.91-2.94
7 Hg 0.3333 0.6667 0.7500  12 Zn 2.91-2.94
8 Hg 0.6667 0.3333 0.2500  12 Zn 2.91-2.94

Output
Total moment   0.000 μB per cell
Energy   -0.92 eV per atom

No. 4
The following is a DFT calculation (PBE) of crystalline Zn3Hg at its relaxed geometry.

Unit cell a=10.4798 b=2.8630 c=2.8630 alpha=60.24 beta=90.00 gamma=90.00
Last column: nearest neighbours and their distance in Å.
Sites, in units of the cell vectors:
1 Zn 0.0000 0.0000 0.0000  12 Zn 2.72-2.87
2 Zn 0.2103 0.6780 0.6780  9 Zn 2.72-2.87
3 Zn 0.7897 0.6780 0.6780  9 Zn 2.72-2.87
4 Hg 0.5000 0.9860 0.9860  6 Hg 2.86-2.87

Output
Total moment   0.004 μB per cell
Energy   -0.87 eV per atom